Tb2MoO6: optimized geometry, GGA+U.

a = 5.4264 Å, b = 9.9896 Å, c = 9.9896 Å
α = 68.10°, β = 75.05°, γ = 75.05°
Element x y z (fractional)
1 Mo 0.9401 0.9888 0.7038
2 O 0.5151 0.1107 0.0486
3 Tb 0.8793 0.4474 0.2157
4 O 0.2553 0.4308 0.0254
5 O 0.6364 0.2897 0.1819
6 Tb 0.2500 0.6074 0.3926
7 O 0.3636 0.7103 0.8181
8 Tb 0.7500 0.8646 0.1354
9 O 0.5832 0.6631 0.1911
10 O 0.5782 0.3913 0.4260
11 Tb 0.6207 0.7843 0.5526
12 O 0.1364 0.1819 0.2897
13 Tb 0.2500 0.1354 0.8646
14 O 0.3696 0.8838 0.3267
15 O 0.7447 0.5692 0.9746
16 O 0.4168 0.3369 0.8089
17 O 0.4218 0.6087 0.5740
18 O 0.9218 0.5740 0.6087
19 O 0.9168 0.8089 0.3369
20 O 0.2447 0.9746 0.5692
21 Tb 0.7500 0.3926 0.6074
22 O 0.0832 0.1911 0.6631
23 Tb 0.3793 0.2157 0.4474
24 O 0.0151 0.0486 0.1107
25 Mo 0.5599 0.2962 0.0112
26 O 0.8696 0.3267 0.8838
27 Mo 0.4401 0.7038 0.9888
28 O 0.1304 0.6733 0.1162
29 O 0.0782 0.4260 0.3913
30 O 0.9849 0.9514 0.8893
31 O 0.8636 0.8181 0.7103
32 Mo 0.0599 0.0112 0.2962
33 O 0.7553 0.0254 0.4308
34 O 0.6304 0.1162 0.6733
35 O 0.4849 0.8893 0.9514
36 Tb 0.1207 0.5526 0.7843

Results
symmetry = No. 15
energy of formation = -3184 meV/atom

Te2MoO7: optimized geometry, GGA+U.

a = 9.1941 Å, b = 4.3892 Å, c = 16.0570 Å
α = 83.58°, β = 90.00°, γ = 90.00°
Element x y z (fractional)
1 O 0.3745 0.4850 0.0686
2 O 0.6591 0.5910 0.2019
3 O 0.3989 0.9371 0.1863
4 Te 0.7118 0.7085 0.6124
5 O 0.4674 0.4174 0.3123
6 Mo 0.8689 0.1186 0.4314
7 O 0.8989 0.0629 0.3137
8 Mo 0.3689 0.8814 0.0686
9 O 0.3476 0.8944 0.3586
10 O 0.6255 0.5150 0.9314
11 O 0.9674 0.5826 0.1877
12 O 0.8476 0.1056 0.1414
13 Te 0.0281 0.1659 0.2206
14 O 0.5326 0.5826 0.6877
15 Te 0.9719 0.8341 0.7794
16 O 0.1006 0.0307 0.4486
17 O 0.1255 0.4850 0.5686
18 O 0.8745 0.5150 0.4314
19 O 0.1524 0.8944 0.8586
20 O 0.8409 0.5910 0.7019
21 O 0.1591 0.4090 0.2981
22 Te 0.2882 0.2915 0.3876
23 Mo 0.1311 0.8814 0.5686
24 O 0.6011 0.0629 0.8137
25 Te 0.4719 0.1659 0.7206
26 Te 0.5281 0.8341 0.2794
27 O 0.6006 0.9693 0.0514
28 O 0.3409 0.4090 0.7981
29 O 0.0326 0.4174 0.8123
30 O 0.6839 0.0233 0.4375
31 O 0.3994 0.0307 0.9486
32 O 0.8161 0.0233 0.9375
33 O 0.1839 0.9767 0.0625
34 O 0.6524 0.1056 0.6414
35 O 0.8994 0.9693 0.5514
36 O 0.1011 0.9371 0.6863
37 O 0.3161 0.9767 0.5625
38 Mo 0.6311 0.1186 0.9314
39 Te 0.7882 0.7085 0.1124
40 Te 0.2118 0.2915 0.8876

Results
symmetry = No. 14
energy of formation = -1668 meV/atom

ZnTeMoO6: optimized geometry, GGA+U.

a = 5.1014 Å, b = 5.3524 Å, c = 9.2058 Å
α = 90.00°, β = 90.00°, γ = 90.00°
Element x y z (fractional)
1 O 0.2206 0.3260 0.3969
2 O 0.8431 0.2876 0.9202
3 O 0.2794 0.8260 0.6031
4 Mo 0.0000 0.5000 0.8070
5 O 0.3431 0.2124 0.0798
6 O 0.1569 0.7124 0.9202
7 O 0.7628 0.1794 0.2941
8 O 0.7372 0.6794 0.7059
9 O 0.6569 0.7876 0.0798
10 Te 0.0000 0.5000 0.2600
11 Te 0.5000 0.0000 0.7400
12 O 0.7794 0.6740 0.3969
13 O 0.2372 0.8206 0.2941
14 Mo 0.5000 0.0000 0.1930
15 Zn 0.0000 0.0000 0.4751
16 Zn 0.5000 0.5000 0.5249
17 O 0.2628 0.3206 0.7059
18 O 0.7206 0.1740 0.6031

Results
symmetry = No. 18
piezoelectric modulus e_max = 0.11 C/m2
energy of formation = -1765 meV/atom
M_tot = 0.000 μB per cell

ThMo2O9: optimized geometry, GGA+U.

a = 10.6855 Å, b = 7.4096 Å, c = 9.8076 Å
α = 86.65°, β = 90.00°, γ = 90.00°
Element x y z (fractional)
1 Mo 0.5971 0.2064 0.8210
2 O 0.1702 0.4882 0.3747
3 O 0.4124 0.8000 0.9966
4 O 0.9392 0.4316 0.2556
5 O 0.8452 0.4454 0.9083
6 O 0.6643 0.7496 0.8866
7 O 0.1548 0.5546 0.0917
8 O 0.4392 0.5684 0.2444
9 O 0.0876 0.8000 0.4966
10 O 0.6548 0.4454 0.4083
11 O 0.4864 0.0489 0.7590
12 Mo 0.4029 0.7936 0.1790
13 O 0.6134 0.1370 0.4601
14 O 0.8298 0.5118 0.6253
15 Mo 0.7682 0.6206 0.9985
16 Th 0.9604 0.2733 0.7391
17 O 0.1643 0.2504 0.6134
18 Mo 0.0971 0.7936 0.6790
19 O 0.6702 0.5118 0.1253
20 O 0.8833 0.7567 0.0796
21 O 0.8357 0.7496 0.3866
22 Mo 0.2318 0.3794 0.0015
23 O 0.3833 0.2433 0.4204
24 Th 0.5396 0.2733 0.2391
25 O 0.1167 0.2433 0.9204
26 Mo 0.2682 0.3794 0.5015
27 Mo 0.7318 0.6206 0.4985
28 O 0.5136 0.9511 0.2410
29 Th 0.0396 0.7267 0.2609
30 O 0.0136 0.0489 0.2590
31 O 0.3357 0.2504 0.1134
32 O 0.6167 0.7567 0.5796
33 O 0.9124 0.2000 0.5034
34 O 0.3866 0.8630 0.5399
35 O 0.8866 0.1370 0.9601
36 Th 0.4604 0.7267 0.7609
37 O 0.7522 0.1506 0.7630
38 O 0.3298 0.4882 0.8747
39 O 0.2478 0.8494 0.2370
40 O 0.7478 0.1506 0.2630
41 O 0.2522 0.8494 0.7370
42 O 0.5876 0.2000 0.0034
43 O 0.3452 0.5546 0.5917
44 O 0.9864 0.9511 0.7410
45 O 0.1134 0.8630 0.0399
46 O 0.5608 0.4316 0.7556
47 O 0.0608 0.5684 0.7444
48 Mo 0.9029 0.2064 0.3210

Results
symmetry = No. 14
energy of formation = -2267 meV/atom
M_tot = 7.997 μB per cell

TiMoO4: optimized geometry, GGA+U.

a = 4.7096 Å, b = 4.7096 Å, c = 3.0976 Å
α = 90.00°, β = 90.00°, γ = 90.40°
Element x y z (fractional)
1 O 0.6922 0.6922 0.0000
2 O 0.3078 0.3078 0.0000
3 Ti 0.5000 0.5000 0.5000
4 O 0.2068 0.7932 0.5000
5 O 0.7932 0.2068 0.5000
6 Mo 0.0000 0.0000 0.0000

Results
symmetry = No. 65
energy of formation = -2711 meV/atom
M_tot = 2.000 μB per cell

Tl3Mo2O8: optimized geometry, GGA+U.

a = 6.1456 Å, b = 6.1456 Å, c = 16.1678 Å
α = 90.00°, β = 90.00°, γ = 120.00°
Element x y z (fractional)
1 Mo 0.3333 0.6667 0.4129
2 O 0.5063 0.0126 0.9505
3 O 0.1700 0.3401 0.6307
4 O 0.4937 0.5063 0.4505
5 Tl 0.6667 0.3333 0.5450
6 Mo 0.6667 0.3333 0.9129
7 O 0.6599 0.8300 0.6307
8 O 0.8300 0.1700 0.1307
9 Tl 0.3333 0.6667 0.0450
10 O 0.3401 0.1700 0.1307
11 Tl 0.0000 0.0000 0.7549
12 Mo 0.3333 0.6667 0.6655
13 Mo 0.6667 0.3333 0.1655
14 O 0.9874 0.4937 0.9505
15 O 0.5063 0.4937 0.9505
16 O 0.4937 0.9874 0.4505
17 Tl 0.0000 0.0000 0.5178
18 O 0.3333 0.6667 0.3042
19 O 0.8300 0.6599 0.1307
20 O 0.6667 0.3333 0.8042
21 O 0.6667 0.3333 0.2730
22 O 0.0126 0.5063 0.4505
23 Tl 0.0000 0.0000 0.2549
24 Tl 0.0000 0.0000 0.0178
25 O 0.3333 0.6667 0.7730
26 O 0.1700 0.8300 0.6307

Results
symmetry = No. 186
energy of formation = -1561 meV/atom
M_tot = 0.073 μB per cell

Tl3Mo10O30: optimized geometry, GGA+U.

a = 10.4018 Å, b = 10.4018 Å, c = 10.4559 Å
α = 62.21°, β = 62.21°, γ = 43.41°
Element x y z (fractional)
1 Mo 0.1795 0.6681 0.9597
2 O 0.4262 0.9412 0.8409
3 O 0.5738 0.0588 0.1591
4 O 0.8431 0.8431 0.3091
5 Mo 0.8205 0.3319 0.0403
6 O 0.5000 0.0000 0.5000
7 Mo 0.6681 0.1795 0.9597
8 O 0.3139 0.8706 0.5581
9 O 0.6479 0.1612 0.8154
10 O 0.6861 0.1294 0.4419
11 O 0.0000 0.5000 0.5000
12 O 0.0871 0.0871 0.0060
13 O 0.8706 0.3139 0.5581
14 O 0.1612 0.6479 0.8154
15 O 0.1569 0.1569 0.6909
16 O 0.3521 0.8388 0.1846
17 O 0.8388 0.3521 0.1846
18 O 0.7142 0.2039 0.1442
19 Tl 0.1885 0.1885 0.2593
20 O 0.4235 0.4235 0.9874
21 Mo 0.7784 0.7784 0.1719
22 Tl 0.8115 0.8115 0.7407
23 O 0.2444 0.2444 0.9701
24 Mo 0.6099 0.1093 0.3430
25 O 0.2039 0.7142 0.1442
26 O 0.3569 0.3569 0.3277
27 O 0.6431 0.6431 0.6723
28 O 0.7961 0.2858 0.8558
29 Mo 0.1093 0.6099 0.3430
30 O 0.5765 0.5765 0.0126
31 O 0.7556 0.7556 0.0299
32 Mo 0.3319 0.8205 0.0403
33 Tl 0.5000 0.5000 0.5000
34 O 0.0588 0.5738 0.1591
35 O 0.2858 0.7961 0.8558
36 O 0.6858 0.6858 0.3322
37 O 0.1294 0.6861 0.4419
38 Mo 0.2216 0.2216 0.8281
39 Mo 0.3901 0.8907 0.6570
40 O 0.9129 0.9129 0.9940
41 O 0.3142 0.3142 0.6678
42 O 0.9412 0.4262 0.8409
43 Mo 0.8907 0.3901 0.6570

Results
symmetry = No. 12
energy of formation = -1866 meV/atom
M_tot = 3.004 μB per cell

Tl2Mo7O22: optimized geometry, GGA+U.

a = 10.8767 Å, b = 10.8767 Å, c = 19.0204 Å
α = 60.39°, β = 60.39°, γ = 30.13°
Element x y z (fractional)
1 Mo 0.3774 0.9900 0.9744
2 O 0.1405 0.4003 0.9158
3 O 0.9133 0.6413 0.4332
4 O 0.3368 0.0150 0.8886
5 O 0.2724 0.0869 0.7191
6 Mo 0.6226 0.0100 0.0256
7 O 0.6276 0.2213 0.3210
8 Mo 0.3072 0.0252 0.6376
9 O 0.6859 0.2557 0.4963
10 O 0.4003 0.1405 0.4158
11 O 0.3587 0.0867 0.0668
12 O 0.0150 0.3368 0.3886
13 O 0.0867 0.3587 0.5668
14 O 0.0074 0.0550 0.3591
15 O 0.6413 0.9133 0.9332
16 O 0.5997 0.8595 0.5842
17 O 0.7276 0.9131 0.2809
18 O 0.5491 0.6973 0.0265
19 O 0.4900 0.4665 0.6654
20 Tl 0.8525 0.4365 0.8328
21 O 0.1976 0.0575 0.5454
22 Mo 0.7830 0.2804 0.0927
23 Mo 0.2804 0.7830 0.5927
24 Mo 0.3893 0.6107 0.2500
25 O 0.5100 0.5335 0.3346
26 O 0.4665 0.4900 0.1654
27 O 0.0550 0.0074 0.8591
28 O 0.9926 0.9450 0.6409
29 O 0.3724 0.7787 0.6790
30 O 0.3141 0.7443 0.5037
31 O 0.4509 0.3027 0.9735
32 O 0.9131 0.7276 0.7809
33 Mo 0.0252 0.3072 0.1376
34 O 0.8775 0.2742 0.6976
35 O 0.2557 0.6859 0.9963
36 O 0.9850 0.6632 0.6114
37 Tl 0.5635 0.1475 0.6672
38 Mo 0.6107 0.3893 0.7500
39 O 0.8024 0.9425 0.4546
40 O 0.0575 0.1976 0.0454
41 Mo 0.2170 0.7196 0.9073
42 Mo 0.9748 0.6928 0.8624
43 O 0.6973 0.5491 0.5265
44 Mo 0.0100 0.6226 0.5256
45 O 0.7787 0.3724 0.1790
46 O 0.1225 0.7258 0.3024
47 O 0.9425 0.8024 0.9546
48 Mo 0.6928 0.9748 0.3624
49 O 0.5335 0.5100 0.8346
50 O 0.2213 0.6276 0.8210
51 O 0.9450 0.9926 0.1409
52 O 0.6632 0.9850 0.1114
53 O 0.3027 0.4509 0.4735
54 Mo 0.7196 0.2170 0.4073
55 Mo 0.9900 0.3774 0.4744
56 O 0.8595 0.5997 0.0842
57 O 0.0869 0.2724 0.2191
58 Tl 0.4365 0.8525 0.3328
59 O 0.2742 0.8775 0.1976
60 O 0.7258 0.1225 0.8024
61 O 0.7443 0.3141 0.0037
62 Tl 0.1475 0.5635 0.1672

Results
symmetry = No. 15
energy of formation = -1862 meV/atom
M_tot = 0.000 μB per cell

TlMo6O17: optimized geometry, GGA+U.

a = 5.6309 Å, b = 5.6309 Å, c = 14.3983 Å
α = 90.00°, β = 90.00°, γ = 120.00°
Element x y z (fractional)
1 O 0.5000 0.0000 0.0000
2 O 0.8418 0.1582 0.6850
3 O 0.8418 0.6837 0.6850
4 O 0.5000 0.5000 0.0000
5 O 0.3276 0.1638 0.1526
6 O 0.3163 0.1582 0.6850
7 Mo 0.0000 0.0000 0.7874
8 O 0.6837 0.8418 0.3150
9 O 0.6667 0.3333 0.5228
10 Mo 0.0000 0.0000 0.2126
11 O 0.1638 0.3276 0.8474
12 O 0.1582 0.3163 0.3150
13 O 0.1638 0.8362 0.8474
14 O 0.3333 0.6667 0.4772
15 Tl 0.0000 0.0000 0.5000
16 O 0.6724 0.8362 0.8474
17 O 0.0000 0.5000 0.0000
18 Mo 0.6667 0.3333 0.0690
19 Mo 0.3333 0.6667 0.3553
20 O 0.1582 0.8418 0.3150
21 Mo 0.3333 0.6667 0.9310
22 O 0.8362 0.6724 0.1526
23 O 0.8362 0.1638 0.1526
24 Mo 0.6667 0.3333 0.6447

Results
symmetry = No. 164
energy of formation = -1901 meV/atom

TlMo3O9: optimized geometry, GGA+U.

a = 8.6481 Å, b = 8.6481 Å, c = 6.5787 Å
α = 87.53°, β = 87.53°, γ = 53.99°
Element x y z (fractional)
1 O 0.0971 0.5761 0.2111
2 Mo 0.6844 0.2041 0.2684
3 O 0.6847 0.1570 0.5865
4 O 0.4633 0.4633 0.2959
5 Mo 0.1170 0.1170 0.3620
6 O 0.4239 0.9029 0.7889
7 O 0.9646 0.9646 0.3067
8 Mo 0.8830 0.8830 0.6380
9 O 0.1478 0.1478 0.1055
10 O 0.8430 0.3153 0.4135
11 O 0.3153 0.8430 0.4135
12 Tl 0.6985 0.6985 0.1771
13 Mo 0.2041 0.6844 0.2684
14 O 0.7853 0.7853 0.5162
15 O 0.5367 0.5367 0.7041
16 O 0.1570 0.6847 0.5865
17 Tl 0.3015 0.3015 0.8229
18 O 0.2147 0.2147 0.4838
19 O 0.7483 0.2517 0.0000
20 O 0.8522 0.8522 0.8945
21 O 0.5761 0.0971 0.2111
22 Mo 0.3156 0.7959 0.7316
23 Mo 0.7959 0.3156 0.7316
24 O 0.0354 0.0354 0.6933
25 O 0.9029 0.4239 0.7889
26 O 0.2517 0.7483 0.0000

Results
symmetry = No. 12
energy of formation = -1842 meV/atom
M_tot = 0.000 μB per cell